Here is a relaxed NaMnPCO7 crystal from the Materials Project database. Energies are from PBE+U. Values from VASP.

Structure (Quantum ESPRESSO input):
```
&SYSTEM
  ibrav = 0, nat = 44, ntyp = 5
/
ATOMIC_SPECIES
Na 22.99 Na.upf
Mn 54.94 Mn.upf
P 30.97 P.upf
C 12.01 C.upf
O 16.00 O.upf
CELL_PARAMETERS angstrom
-4.204 1.707 6.718
6.493 -3.673 3.215
3.183 8.966 -4.039
ATOMIC_POSITIONS crystal
Na 0.267 0.226 0.246
Na 0.975 0.515 0.245
Na 0.025 0.485 0.755
Na 0.733 0.774 0.754
Mn 0.931 0.180 0.344
Mn 0.444 0.694 0.339
Mn 0.556 0.306 0.661
Mn 0.069 0.820 0.656
P 0.201 0.948 0.430
P 0.697 0.449 0.433
P 0.303 0.551 0.567
P 0.799 0.052 0.570
C 0.775 0.031 0.078
C 0.281 0.525 0.076
C 0.719 0.475 0.924
C 0.225 0.969 0.922
O 0.306 0.046 0.056
O 0.802 0.561 0.057
O 0.422 0.668 0.137
O 0.921 0.175 0.144
O 0.728 0.983 0.175
O 0.236 0.482 0.179
O 0.271 0.828 0.325
O 0.090 0.033 0.331
O 0.786 0.342 0.336
O 0.582 0.525 0.330
O 0.158 0.404 0.423
O 0.570 0.322 0.473
O 0.072 0.821 0.469
O 0.652 0.909 0.429
O 0.348 0.091 0.571
O 0.430 0.678 0.527
O 0.928 0.179 0.531
O 0.842 0.596 0.577
O 0.214 0.658 0.664
O 0.418 0.475 0.670
O 0.729 0.172 0.675
O 0.910 0.967 0.669
O 0.764 0.518 0.821
O 0.272 0.017 0.825
O 0.578 0.332 0.863
O 0.079 0.825 0.856
O 0.694 0.954 0.944
O 0.198 0.439 0.943
```

Summary:
ρ: 2.619 g cm⁻³
MP2020-corrected energy: -7.60 eV/atom
symmetry: No. 2
distance to the lowest polymorph of the same formula: 13 meV/atom
size of the total moment: 3.00 μB per formula unit
calculated formation energy: -2.17 eV per atom